[1]
Material: Tm5Ge3
Method: DFT, PBE-GGA
State: optimized geometry

Cell: 8.3775 8.3775 6.2835 Å, 90.00 90.00 120.00°
Atoms (fractional coordinates):
Tm 0.7597 0.7597 0.7500
Ge 0.0000 0.3947 0.2500
Tm 0.7597 0.0000 0.2500
Ge 0.6053 0.0000 0.7500
Tm 0.0000 0.7597 0.2500
Tm 0.2403 0.2403 0.2500
Ge 0.3947 0.0000 0.2500
Ge 0.0000 0.6053 0.7500
Tm 0.6667 0.3333 0.5000
Tm 0.3333 0.6667 0.0000
Tm 0.6667 0.3333 0.0000
Tm 0.2403 0.0000 0.7500
Tm 0.3333 0.6667 0.5000
Ge 0.3947 0.3947 0.7500
Ge 0.6053 0.6053 0.2500
Tm 0.0000 0.2403 0.7500

Summary:
As for the symmetry: P6_3/mcm (193). Its volume is 382 Å³/cell. The formation energy comes out at -0.80 eV/atom. For the energy, the calculation gives -5.33 eV per atom.



[2]
Material: Tm2Ge3
Method: DFT, PBE-GGA
State: optimized geometry

Cell: 4.3802 4.3785 6.9302 Å, 90.00 90.00 59.87°
Atoms (fractional coordinates):
Ge 0.3328 0.3326 0.2500
Tm 0.0001 0.0002 0.0202
Tm 0.0001 0.0002 0.4798
Ge 0.3338 0.3341 0.7500
Ge 0.6664 0.6661 0.7500

Summary:
As for the symmetry: Amm2 (38). Its volume is 115 Å³/cell. The formation energy comes out at -0.44 eV/atom. For the energy, the calculation gives -5.01 eV per atom. The calculation puts the total magnetization at 0.00 μB/f.u.



[3]
Material: TmGe3
Method: DFT, PBE-GGA
State: optimized geometry

Cell: 3.9359 4.0247 10.5252 Å, 78.98 90.00 90.00°
Atoms (fractional coordinates):
Ge 0.2500 0.4596 0.0808
Ge 0.7500 0.5404 0.9192
Tm 0.2500 0.0818 0.8364
Ge 0.7500 0.3118 0.3764
Ge 0.2500 0.8094 0.3812
Tm 0.7500 0.9182 0.1636
Ge 0.2500 0.6882 0.6236
Ge 0.7500 0.1906 0.6188

Summary:
As for the symmetry: Cmcm (63). Its volume is 164 Å³/cell. The formation energy comes out at -0.43 eV/atom. For the energy, the calculation gives -5.02 eV per atom.